Entry 1:
DFT (GGA-PBE) results for a geometry-optimized DyP3O9 structure.

The structure in POSCAR format:
```
DyP3O9
1.0
7.064 0.000 0.000
0.000 9.796 0.000
-0.357 0.000 11.088
Dy P O
4 12 36
Cartesian
1.052 2.449 5.137 Dy
1.847 2.449 10.887 Dy
4.860 7.347 0.200 Dy
5.655 7.347 5.951 Dy
1.222 7.347 1.145 P
1.799 0.096 2.576 P
1.799 4.802 2.576 P
2.006 7.347 6.942 P
2.052 0.333 7.940 P
2.052 4.565 7.940 P
4.655 5.231 3.148 P
4.655 9.463 3.148 P
4.700 2.449 4.145 P
4.908 4.995 8.511 P
4.908 9.700 8.511 P
5.485 2.449 9.943 P
0.072 7.347 0.182 O
0.856 7.347 5.975 O
0.939 0.839 3.555 O
0.939 4.059 3.555 O
0.996 6.127 2.179 O
0.996 8.568 2.179 O
1.397 0.895 6.713 O
1.397 4.003 6.713 O
1.677 0.879 9.279 O
1.677 4.019 9.279 O
1.834 6.153 8.014 O
1.834 8.541 8.014 O
2.272 0.824 1.351 O
2.272 4.074 1.351 O
2.623 7.347 0.609 O
3.064 5.399 3.388 O
3.064 9.295 3.388 O
3.306 2.449 4.700 O
3.401 7.347 6.388 O
3.643 0.501 7.699 O
3.643 4.397 7.699 O
4.084 2.449 10.479 O
4.435 5.722 9.737 O
4.435 8.972 9.737 O
4.873 1.255 3.073 O
4.873 3.643 3.073 O
5.030 5.777 1.808 O
5.030 8.917 1.808 O
5.310 5.793 4.375 O
5.310 8.901 4.375 O
5.711 1.229 8.908 O
5.711 3.669 8.908 O
5.768 5.737 7.532 O
5.768 8.957 7.532 O
5.851 2.449 5.113 O
6.635 2.449 10.905 O
```

Output
Space group: P2_1/m (11)
DFT formation energy in eV/f.u.: -39.278
ΔE to the lowest computed polymorph in eV per atom: 0.000
VASP energy in eV/cell: -393.9
E (MP2020) in eV/atom: -8.050

Entry 2:
DFT (GGA-PBE) results for a geometry-optimized Dy2P4O13 structure.

The structure in POSCAR format:
```
Dy2P4O13
1.0
5.989 -3.394 0.000
5.989 3.394 0.000
-3.597 0.000 12.493
Dy P O
4 8 26
Cartesian
2.117 0.015 0.624 Dy
0.319 -0.015 6.871 Dy
8.062 0.015 5.622 Dy
6.263 -0.015 11.868 Dy
1.971 0.044 4.252 P
0.172 -0.044 10.498 P
5.369 1.009 1.674 P
4.810 1.009 4.573 P
3.570 -1.009 7.920 P
3.011 -1.009 10.819 P
8.208 0.044 1.995 P
6.410 -0.044 8.241 P
1.460 1.232 5.081 O
-0.270 1.186 11.307 O
5.720 2.178 0.753 O
4.459 2.178 5.494 O
1.582 0.041 2.800 O
-0.217 -0.041 9.046 O
5.089 1.663 3.123 O
4.269 0.072 1.286 O
2.471 -0.072 7.532 O
3.580 0.032 4.333 O
1.781 -0.032 10.579 O
1.529 -1.186 5.061 O
-0.338 -1.232 11.327 O
8.719 1.232 1.166 O
6.851 1.186 7.432 O
6.599 0.032 1.914 O
4.801 -0.032 8.160 O
5.909 0.072 4.961 O
4.111 -0.072 11.207 O
3.291 -1.663 9.370 O
8.597 0.041 3.447 O
6.799 -0.041 9.693 O
3.921 -2.178 6.999 O
2.661 -2.178 11.740 O
8.650 -1.186 1.186 O
6.920 -1.232 7.412 O
```

Output
Space group: C2/c (15)
DFT formation energy in eV/f.u.: -59.616
ΔE to the lowest computed polymorph in eV per atom: 0.031
VASP energy in eV/cell: -291.8
E (MP2020) in eV/atom: -8.148

Entry 3:
DFT (GGA-PBE) results for a geometry-optimized Dy2P4O13 structure.

The structure in POSCAR format:
```
Dy2P4O13
1.0
3.536 -8.812 0.000
3.536 8.812 0.000
0.000 0.000 8.628
Dy P O
4 8 26
Cartesian
1.742 2.589 1.269 Dy
1.742 -2.589 7.359 Dy
5.330 2.589 3.045 Dy
5.330 -2.589 5.583 Dy
1.729 2.816 4.338 P
1.972 1.028 6.677 P
1.972 -1.028 1.951 P
1.729 -2.816 4.290 P
5.343 2.816 8.604 P
5.100 1.028 6.265 P
5.100 -1.028 2.363 P
5.343 -2.816 0.024 P
1.805 4.014 5.250 O
2.977 5.984 7.652 O
1.607 2.013 7.747 O
1.435 1.500 5.247 O
1.562 0.401 1.763 O
4.095 5.984 5.290 O
1.562 -0.401 6.865 O
2.986 2.565 3.466 O
1.435 -1.500 3.381 O
1.607 -2.013 0.881 O
4.086 2.565 0.848 O
3.536 1.095 6.471 O
1.805 -4.014 3.378 O
5.267 4.014 7.691 O
3.536 -1.095 2.157 O
2.986 -2.565 5.162 O
5.465 2.013 5.195 O
5.637 1.500 7.695 O
4.086 -2.565 7.780 O
5.510 0.401 2.551 O
2.977 -5.984 0.976 O
5.510 -0.401 6.077 O
5.637 -1.500 0.933 O
5.465 -2.013 3.433 O
4.095 -5.984 3.338 O
5.267 -4.014 0.936 O
```

Output
Maximum piezoelectric response in C/m²: 0.0
Space group: C222_1 (20)
DFT formation energy in eV/f.u.: -60.203
ΔE to the lowest computed polymorph in eV per atom: 0.000
VASP energy in eV/cell: -292.9
E (MP2020) in eV/atom: -8.179